No. 1
Below is a geometry-optimized Er2GeRh3 structure, with properties calculated at the PBE level.

Cell lengths 5.096, 5.096, 5.096 Å; angles 66.61, 66.61, 66.61 degrees
Element x y z (fractional)
1 Er 0.629 0.629 0.629
2 Er 0.371 0.371 0.371
3 Ge 0.000 0.000 0.000
4 Rh 0.000 0.000 0.500
5 Rh 0.500 0.000 0.000
6 Rh 0.000 0.500 0.000

Computed properties:
- DFT total energy: -41.344 eV/f.u.
- Energy of formation from the pure elements: -21.1 kcal/mol of atoms


No. 2
Below is a geometry-optimized DyCu2Si2 structure, with properties calculated at the PBE level.

Cell lengths 5.722, 5.722, 5.722 Å; angles 139.32, 139.32, 58.88 degrees
Element x y z (fractional)
1 Dy 0.000 0.000 0.000
2 Cu 0.750 0.250 0.500
3 Cu 0.250 0.750 0.500
4 Si 0.618 0.618 0.000
5 Si 0.382 0.382 0.000

Computed properties:
- E (MP2020): -26.492 eV/cell
- DFT total energy: -26.634 eV/f.u.
- Energy of formation from the pure elements: -13.1 kcal/mol of atoms


No. 3
Below is a geometry-optimized AgOsN2O3 structure, with properties calculated at the PBE level.

Cell lengths 6.195, 8.603, 9.880 Å; angles 96.52, 71.73, 90.00 degrees
Element x y z (fractional)
1 Ag 0.997 0.500 0.000
2 Ag 0.298 0.190 0.381
3 Ag 0.679 0.810 0.619
4 Ag 0.503 0.500 0.000
5 Os 0.313 0.679 0.389
6 Os 0.702 0.321 0.611
7 Os 0.104 0.997 0.775
8 Os 0.879 0.003 0.225
9 N 0.113 0.522 0.780
10 N 0.893 0.478 0.220
11 N 0.504 0.249 0.992
12 N 0.497 0.751 0.008
13 N 0.807 0.942 0.391
14 N 0.198 0.058 0.609
15 N 0.490 0.681 0.493
16 N 0.982 0.319 0.507
17 O 0.037 0.163 0.904
18 O 0.941 0.837 0.096
19 O 0.393 0.514 0.254
20 O 0.647 0.486 0.746
21 O 0.349 0.851 0.307
22 O 0.657 0.149 0.693
23 O 0.645 0.117 0.218
24 O 0.121 0.119 0.207
25 O 0.328 0.881 0.793
26 O 0.863 0.883 0.782
27 O 0.030 0.670 0.500
28 O 0.530 0.330 0.500

Computed properties:
- E (MP2020): -178.331 eV/cell
- DFT total energy: -42.522 eV/f.u.
- Energy of formation from the pure elements: 3.3 kcal/mol of atoms


No. 4
Below is a geometry-optimized PmMg2Sc structure, with properties calculated at the PBE level.

Cell lengths 5.291, 5.291, 5.291 Å; angles 60.00, 60.00, 60.00 degrees
Element x y z (fractional)
1 Pm 0.000 0.000 0.000
2 Mg 0.250 0.250 0.250
3 Mg 0.750 0.750 0.750
4 Sc 0.500 0.500 0.500

Computed properties:
- DFT total energy: -14.547 eV/f.u.
- Energy of formation from the pure elements: -1.5 kcal/mol of atoms


No. 5
Below is a geometry-optimized Sr2HfO4 structure, with properties calculated at the PBE level.

Cell lengths 7.045, 7.045, 7.045 Å; angles 146.03, 146.03, 48.80 degrees
Element x y z (fractional)
1 Sr 0.648 0.648 0.000
2 Sr 0.352 0.352 0.000
3 Hf 0.000 0.000 0.000
4 O 0.500 0.000 0.500
5 O 0.000 0.500 0.500
6 O 0.836 0.836 0.000
7 O 0.164 0.164 0.000

Computed properties:
- E (MP2020): -58.217 eV/cell
- DFT total energy: -55.469 eV/f.u.
- Distance to the lowest polymorph of the same formula: 0.0122 eV/atom
- Energy of formation from the pure elements: -82.7 kcal/mol of atoms


No. 6
Below is a geometry-optimized Fe3Co8N8 structure, with properties calculated at the PBE level.

Cell lengths 7.317, 3.915, 6.365 Å; angles 90.00, 73.00, 74.48 degrees
Element x y z (fractional)
1 Fe 0.000 0.500 0.500
2 Fe 0.441 0.780 0.828
3 Fe 0.559 0.220 0.172
4 Co 0.052 0.974 0.782
5 Co 0.948 0.026 0.218
6 Co 0.650 0.675 0.436
7 Co 0.350 0.325 0.564
8 Co 0.806 0.597 0.986
9 Co 0.194 0.403 0.014
10 Co 0.709 0.145 0.684
11 Co 0.291 0.855 0.316
12 N 0.216 0.892 0.057
13 N 0.784 0.108 0.943
14 N 0.359 0.820 0.588
15 N 0.641 0.180 0.412
16 N 0.718 0.641 0.715
17 N 0.282 0.359 0.285
18 N 0.087 0.456 0.764
19 N 0.913 0.544 0.236

Computed properties:
- E (MP2020): -147.304 eV/cell
- DFT total energy: -144.416 eV/f.u.
- Energy of formation from the pure elements: 2.0 kcal/mol of atoms